# Na7Zr2Si5Ge2PO24, optimized geometry, DFT PBE-GGA
data_Na7Zr2Si5Ge2PO24
_space_group_name_H-M_alt 'P 1'
_space_group_IT_number 1
_cell_length_a 8.981
_cell_length_b 8.982
_cell_length_c 22.224
_cell_angle_alpha 90.15
_cell_angle_beta 90.02
_cell_angle_gamma 119.85
loop_
_space_group_symop_operation_xyz
'x,y,z'
loop_
_atom_site_label
_atom_site_type_symbol
_atom_site_fract_x
_atom_site_fract_y
_atom_site_fract_z
_atom_site_occupancy
Na1 Na 0.000 0.000 0.000 1
Na2 Na 0.001 0.627 0.498 1
Na3 Na 0.025 0.323 0.087 1
Na4 Na 0.025 0.333 0.582 1
Na5 Na 0.040 0.963 0.335 1
Na6 Na 0.044 0.703 0.833 1
Na7 Na 0.069 0.028 0.665 1
Na8 Na 0.069 0.668 0.166 1
Na9 Na 0.341 0.303 0.168 1
Na10 Na 0.341 0.672 0.666 1
Na11 Na 0.369 0.370 0.497 1
Na12 Na 0.371 0.631 0.999 1
Na13 Na 0.378 0.014 0.749 1
Na14 Na 0.380 0.002 0.248 1
Na15 Na 0.408 0.705 0.335 1
Na16 Na 0.665 0.330 0.335 1
Na17 Na 0.673 0.969 0.836 1
Na18 Na 0.694 0.660 0.915 1
Na19 Na 0.703 0.666 0.415 1
Na20 Na 0.739 0.368 0.001 1
Na21 Na 0.742 0.001 0.498 1
Zr1 Zr 0.036 0.335 0.732 1
Zr2 Zr 0.041 0.332 0.938 1
Zr3 Zr 0.703 0.670 0.766 1
Zr4 Zr 0.707 0.665 0.268 1
Zr5 Zr 0.709 0.668 0.561 1
Zr6 Zr 0.710 0.670 0.065 1
Si1 Si 0.009 0.975 0.167 1
Si2 Si 0.011 0.674 0.663 1
Si3 Si 0.045 0.617 0.335 1
Si4 Si 0.051 0.039 0.834 1
Si5 Si 0.094 0.723 0.001 1
Si6 Si 0.095 0.008 0.497 1
Si7 Si 0.315 0.327 0.335 1
Si8 Si 0.338 0.639 0.836 1
Si9 Si 0.362 0.713 0.496 1
Si10 Si 0.373 0.277 0.000 1
Si11 Si 0.645 0.999 0.000 1
Si12 Si 0.654 0.275 0.497 1
Si13 Si 0.696 0.969 0.663 1
Si14 Si 0.705 0.357 0.167 1
Si15 Si 0.750 0.053 0.336 1
Ge1 Ge 0.024 0.321 0.234 1
Ge2 Ge 0.036 0.332 0.436 1
Ge3 Ge 0.365 0.998 0.898 1
Ge4 Ge 0.371 0.000 0.396 1
Ge5 Ge 0.373 0.008 0.102 1
Ge6 Ge 0.373 0.996 0.598 1
P1 P 0.404 0.670 0.166 1
P2 P 0.412 0.364 0.663 1
P3 P 0.733 0.327 0.836 1
O1 O 0.001 0.493 0.394 1
O2 O 0.003 0.120 0.892 1
O3 O 0.033 0.167 0.175 1
O4 O 0.041 0.510 0.668 1
O5 O 0.066 0.529 0.999 1
O6 O 0.071 0.152 0.774 1
O7 O 0.072 0.180 0.493 1
O8 O 0.080 0.532 0.274 1
O9 O 0.173 0.837 0.940 1
O10 O 0.176 0.966 0.437 1
O11 O 0.190 0.519 0.492 1
O12 O 0.196 0.294 0.275 1
O13 O 0.196 0.854 0.657 1
O14 O 0.196 0.982 0.160 1
O15 O 0.202 0.300 0.997 1
O16 O 0.211 0.807 0.061 1
O17 O 0.212 0.042 0.558 1
O18 O 0.215 0.553 0.777 1
O19 O 0.216 0.812 0.339 1
O20 O 0.221 0.019 0.841 1
O21 O 0.226 0.504 0.172 1
O22 O 0.233 0.349 0.670 1
O23 O 0.233 0.368 0.395 1
O24 O 0.245 0.521 0.894 1
O25 O 0.326 0.795 0.557 1
O26 O 0.334 0.163 0.061 1
O27 O 0.337 0.154 0.339 1
O28 O 0.353 0.830 0.840 1
O29 O 0.382 0.830 0.161 1
O30 O 0.390 0.183 0.658 1
O31 O 0.405 0.838 0.437 1
O32 O 0.409 0.191 0.941 1
O33 O 0.489 0.637 0.111 1
O34 O 0.490 0.479 0.607 1
O35 O 0.507 0.498 0.330 1
O36 O 0.517 0.695 0.223 1
O37 O 0.518 0.975 0.656 1
O38 O 0.524 0.454 0.719 1
O39 O 0.526 0.173 0.159 1
O40 O 0.529 0.662 0.831 1
O41 O 0.532 0.197 0.436 1
O42 O 0.532 0.688 0.501 1
O43 O 0.532 0.965 0.938 1
O44 O 0.540 0.471 0.004 1
O45 O 0.556 0.031 0.340 1
O46 O 0.558 0.035 0.058 1
O47 O 0.559 0.161 0.840 1
O48 O 0.566 0.151 0.555 1
O49 O 0.661 0.845 0.722 1
O50 O 0.664 0.447 0.224 1
O51 O 0.667 0.829 0.004 1
O52 O 0.675 0.468 0.501 1
O53 O 0.722 0.491 0.828 1
O54 O 0.728 0.861 0.330 1
O55 O 0.730 0.876 0.605 1
O56 O 0.743 0.486 0.108 1
O57 O 0.824 0.297 0.781 1
O58 O 0.835 0.177 0.277 1
O59 O 0.838 0.169 0.997 1
O60 O 0.847 0.361 0.892 1
O61 O 0.849 0.300 0.493 1
O62 O 0.873 0.639 0.330 1
O63 O 0.874 0.133 0.396 1
O64 O 0.874 0.150 0.670 1
O65 O 0.878 0.848 0.829 1
O66 O 0.888 0.359 0.176 1
O67 O 0.889 0.641 0.605 1
O68 O 0.890 0.887 0.107 1
O69 O 0.900 0.700 0.003 1
O70 O 0.901 0.837 0.500 1
O71 O 0.920 0.845 0.224 1
O72 O 0.922 0.706 0.723 1
# E_form = -2.84 eV per atom
# spin magnetization = 0.00 μB/f.u.
# total energy = -860.303 eV/cell

---

# ZnNi3N, optimized geometry, DFT PBE-GGA
data_ZnNi3N
_space_group_name_H-M_alt 'P m -3 m'
_space_group_IT_number 221
_space_group_name_Hall '-P 4 2 3'
_cell_length_a 3.761
_cell_length_b 3.761
_cell_length_c 3.761
_cell_angle_alpha 90.00
_cell_angle_beta 90.00
_cell_angle_gamma 90.00
loop_
_atom_site_label
_atom_site_type_symbol
_atom_site_fract_x
_atom_site_fract_y
_atom_site_fract_z
_atom_site_occupancy
Zn1 Zn 0.000 0.000 0.000 1
Ni1 Ni 0.000 0.500 0.500 1
N1 N 0.500 0.500 0.500 1
# E_form = -0.22 eV per atom
# total energy = -27.680 eV/cell

---

# GdO2, optimized geometry, DFT PBE-GGA
data_GdO2
_space_group_name_H-M_alt 'P 1 21/m 1'
_space_group_IT_number 11
_cell_length_a 4.184
_cell_length_b 3.729
_cell_length_c 6.083
_cell_angle_alpha 90.00
_cell_angle_beta 104.48
_cell_angle_gamma 90.00
loop_
_space_group_symop_operation_xyz
'x,y,z'
'-x,-y,-z'
'-x,y+1/2,-z'
'x,-y+1/2,z'
loop_
_atom_site_label
_atom_site_type_symbol
_atom_site_fract_x
_atom_site_fract_y
_atom_site_fract_z
_atom_site_occupancy
Gd1 Gd 0.181 0.250 0.298 1
O1 O 0.199 0.750 0.059 1
O2 O 0.261 0.750 0.543 1
# E_form = -3.10 eV per atom
# spin magnetization = 6.00 μB/f.u.
# total energy = -63.812 eV/cell

---

> What is the formula in the first record?

Na7Zr2Si5Ge2PO24

---

> What is the E_form in the third record?

-3.10 eV per atom